Crystalline GaAgO2 at its relaxed geometry. Source: Materials Project, functional PBE.

Cell: 5.6605 7.2324 5.5650 Å, 90.00 90.00 90.00°
Closest atoms and distances in Å follow each position.
Space group Pna2_1 (No. 33)
Symmetry-distinct sites (fractional):
Ga: 0.0602 0.1244 0.0000 (multiplicity 4)  4 O 1.86-1.88
Ag: 0.0504 0.6248 0.9941 (multiplicity 4)  4 O 2.35-2.50
O: 0.0410 0.0834 0.3314 (multiplicity 4)  2 Ga 1.86-1.87
O: 0.1225 0.6684 0.4215 (multiplicity 4)  2 Ga 1.87-1.88

V   227.83 Å³/cell
Electronic total energy   -5.113 eV/atom
Total energy after the MP2020 corrections   -5.456 eV per atom